Record 1
An optimized crystal structure of Li4Co5SnO12. Source: the Materials Project database, functional PBE+U.

The value obtained for the energy of formation from the pure elements is -1.644 eV/atom. As for the space group: C2. The polymorph energy (0 for the lowest one) comes out at 32 meV/atom.

Cell and atoms, written as POSCAR:
```
Li4Co5SnO12
1.0
1.1146 -4.4797 2.1218
3.3117 2.2313 -3.1048
8.5185 7.8109 16.0668
Co Li O Sn
10 8 24 2
Cartesian
11.0980 7.8045 14.7017
10.3636 5.5671 16.4431
7.2367 2.4978 13.6351
8.6678 6.9719 10.1686
5.5506 3.9038 7.3554
5.0001 0.8288 3.1769
7.9293 4.7358 11.9136
7.3981 1.6603 7.7328
2.4085 0.8324 4.5470
4.2416 -1.4085 4.9349
6.3759 0.4657 5.7801
9.3487 4.3708 14.4766
6.6101 5.0991 9.2991
8.4233 2.8273 9.7074
2.8655 -1.0478 2.3304
3.6238 1.1872 0.5769
10.0386 6.6377 12.7442
4.5063 2.7076 5.4139
2.7320 -3.1797 1.8380
4.2553 0.6532 5.0070
0.8323 -1.1008 1.5752
10.5537 6.6313 10.6012
9.3728 7.3071 8.3664
6.9912 5.1971 7.1580
8.9632 2.8039 7.5736
8.5618 5.0359 10.1304
3.2838 -0.9433 0.1910
12.1075 6.6554 13.5006
9.7602 4.4295 12.3936
5.6413 1.1868 1.3053
4.9853 -1.2355 3.1090
9.6564 6.5070 14.8893
8.0118 2.6236 11.7508
3.0689 1.0064 2.7624
10.2197 8.7480 13.2450
5.9586 0.3593 7.9202
3.5996 -1.7676 6.8024
5.0623 2.8885 3.2272
8.1194 6.8465 11.9358
3.9860 2.7663 7.5179
6.4348 2.9632 8.8158
6.5105 2.5976 6.2733
4.8171 1.6621 9.0915
1.1169 -4.4762 2.1228
```

Record 2
An optimized crystal structure of Li2Ti2Mn3O10. Source: the Materials Project database, functional PBE+U.

The value obtained for the energy of formation from the pure elements is -2.545 eV/atom. As for the space group: P-1. The polymorph energy (0 for the lowest one) comes out at 0 meV/atom.

Cell and atoms, written as POSCAR:
```
Li2Ti2Mn3O10
1.0
-6.0075 -0.7603 -2.7424
3.1931 -4.4102 -5.5273
1.3310 -4.7516 6.6248
O Ti Li Mn
20 4 4 6
Cartesian
-0.4284 -6.8019 1.1770
-0.2006 -3.0395 2.3844
-2.5552 -4.5197 -4.4835
-0.2184 -8.0332 -1.3738
2.2282 -6.3314 -0.0711
-4.7191 -2.4507 -3.8381
1.0711 -5.4026 2.8394
-0.0595 -4.2834 0.2044
-2.5620 -4.6997 1.6757
-2.3438 -5.6244 -7.1379
-1.4458 -5.7127 3.6818
1.0787 -5.2223 -3.3204
-1.4235 -5.6389 -1.8499
-1.0552 -3.1200 -2.8220
-3.7110 -3.5912 -1.5741
3.2354 -7.4714 2.1933
0.8603 -4.2977 5.4933
-0.0379 -4.2095 -5.3268
-1.2657 -1.8891 -0.2703
-1.2825 -6.8827 -4.0299
-0.7786 -5.1374 -3.5598
-2.0759 -7.3438 -2.3636
0.5927 -2.5784 0.7180
-0.7047 -4.7846 1.9142
-4.1881 -4.2062 0.4304
2.7053 -5.7167 -2.0758
-1.7751 -3.8531 -0.9432
0.2924 -6.0693 -0.7030
-0.7295 -1.3275 -2.0404
-3.2641 -5.3132 3.3063
-2.8609 -2.8861 -3.4596
1.7808 -4.6092 -4.9510
-0.7560 -8.5948 0.3962
1.3783 -7.0351 1.8147
```

Record 3
An optimized crystal structure of Ca2AlVO5. Source: the Materials Project database, functional PBE+U.

The value obtained for the energy of formation from the pure elements is -3.175 eV/atom.

Cell and atoms, written as POSCAR:
```
Ca2AlVO5
1.0
4.0910 2.2528 6.2949
-6.9031 0.9917 4.3692
3.4079 -7.1256 -0.1388
O Al Ca V
20 4 8 4
Cartesian
2.5555 -3.0714 1.6419
-3.5522 -1.5321 3.3512
4.3310 -2.4642 7.3238
-0.1048 -2.0263 10.3962
4.4293 -4.3046 3.1672
1.5111 -5.6768 4.4956
0.1971 -3.9687 6.4294
0.0482 1.1736 6.8221
2.3410 -2.9060 4.6481
-1.5573 -1.0919 6.0268
1.8526 -0.9876 7.7125
-2.3164 -5.4621 5.6659
2.8955 1.6171 4.8607
0.5815 -0.0275 4.2453
-0.2931 -3.5155 3.6051
-1.9771 -0.7736 8.8840
4.7704 0.3850 6.3842
2.1918 -3.5282 9.1047
-3.8542 0.4104 7.3177
-1.4082 -0.4696 1.5700
-0.6928 0.3066 5.4081
1.3051 0.7120 8.0665
0.9636 -3.9772 4.8497
-1.0344 -4.3826 2.1913
0.6902 -1.6022 2.5584
4.4399 -4.0395 5.6372
2.7072 -0.7846 5.4878
-3.9418 0.2202 4.8077
-2.2047 -3.0374 4.9610
2.3665 -5.4741 2.2706
-1.8643 1.6522 8.1780
-0.1925 -2.2169 7.8865
-3.1527 -1.4437 7.4456
0.5961 -3.8802 10.5231
-5.1967 -2.5730 4.2992
-4.8549 2.1163 7.5163
```

Record 4
An optimized crystal structure of MnVP4O14. Source: the Materials Project database, functional PBE+U.

The value obtained for the energy of formation from the pure elements is -2.500 eV/atom. As for the space group: P1.

Cell and atoms, written as POSCAR:
```
MnVP4O14
1.0
-3.7389 -0.4135 3.0406
2.5927 -7.3313 2.5011
5.0834 3.3565 3.5196
Mn P O V
1 4 14 1
Cartesian
-1.5650 0.5461 3.3441
1.5841 0.1992 3.4229
1.6487 -5.3839 3.0524
2.0519 -3.6565 5.3318
2.3774 0.6460 6.1858
2.1384 -4.9074 6.1388
1.9371 1.0712 2.2422
-2.3323 -1.4792 3.4076
1.0640 -2.6055 5.8983
0.1721 -0.3495 3.5016
-0.6736 -5.8497 5.5508
1.2577 -6.5810 3.9038
3.5420 -0.3714 5.9315
3.4246 -2.9716 5.0911
1.8793 1.1013 4.7260
5.7556 -1.8128 5.3819
2.5891 -0.9943 3.5662
1.4570 -3.9942 3.8656
4.9579 0.2796 3.8146
4.1996 -1.3575 4.4460
```

Q: Look up the energy of formation from the pure elements of the second one.
A: -2.545 eV/atom

Q: What is the formula in the fourth record?
A: MnVP4O14